DFT (PBE+U) results for a relaxed structure of VO2F.

Final energy (eV/cell): -27.0
ΔE_f (kJ/mol of atoms): -232
Piezoelectric modulus e_max (C/m²): 1.72

Cell: 5.615 5.615 4.241 Å, 70.50 70.50 32.99°
Sites, in units of the cell vectors:
O (0.586, 0.586, 0.011)
O (0.012, 0.012, 0.588)
V (0.013, 0.013, 0.969)
F (0.843, 0.843, 0.214)

DFT (PBE+U) results for a relaxed structure of MgFe6O6F6.

Final energy (eV/cell): -113.5
ΔE_f (kJ/mol of atoms): -205
Polymorph energy (0 for the lowest one) (eV per atom): 0.020

Cell: 5.211 15.534 3.059 Å, 90.59 93.37 95.59°
Sites, in units of the cell vectors:
F (0.799, 0.718, 0.524)
F (0.821, 0.372, 0.467)
F (0.676, 0.873, 0.061)
F (0.275, 0.136, 0.054)
F (0.624, 0.572, 0.032)
F (0.875, 0.041, 0.485)
Fe (0.418, 0.826, 0.557)
Fe (0.567, 0.243, 0.372)
Fe (0.000, 0.668, 0.029)
Fe (0.374, 0.522, 0.529)
Fe (0.064, 0.337, 0.992)
Fe (0.024, 0.959, 0.025)
O (0.273, 0.448, 0.018)
O (0.238, 0.285, 0.514)
O (0.280, 0.757, 0.044)
O (0.225, 0.920, 0.551)
O (0.820, 0.221, 0.941)
O (0.122, 0.601, 0.533)
Mg (0.040, 0.158, 0.522)

DFT (PBE+U) results for a relaxed structure of Na2MnO3.

Final energy (eV/cell): -137.3
ΔE_f (kJ/mol of atoms): -183
Polymorph energy (0 for the lowest one) (eV per atom): 0.009

Cell: 10.146 9.679 5.467 Å, 78.76 69.33 31.91°
Sites, in units of the cell vectors:
Mn (0.165, 0.165, 0.335)
Mn (0.335, 0.335, 0.165)
Mn (0.085, 0.085, 0.915)
Mn (0.915, 0.915, 0.085)
Na (0.829, 0.829, 0.671)
Na (0.671, 0.671, 0.829)
Na (0.579, 0.579, 0.421)
Na (0.256, 0.256, 0.744)
Na (0.994, 0.994, 0.506)
Na (0.421, 0.421, 0.579)
Na (0.744, 0.744, 0.256)
Na (0.506, 0.506, 0.994)
O (0.592, 0.096, 0.359)
O (0.154, 0.658, 0.297)
O (0.891, 0.297, 0.658)
O (0.196, 0.804, 0.804)
O (0.054, 0.446, 0.446)
O (0.297, 0.891, 0.154)
O (0.804, 0.196, 0.196)
O (0.953, 0.359, 0.096)
O (0.096, 0.592, 0.953)
O (0.658, 0.154, 0.891)
O (0.359, 0.953, 0.592)
O (0.446, 0.054, 0.054)

DFT (PBE+U) results for a relaxed structure of Li9Co7O16.

Final energy (eV/cell): -176.3
ΔE_f (kJ/mol of atoms): -159
Polymorph energy (0 for the lowest one) (eV per atom): 0.110

Cell: 2.997 4.978 19.295 Å, 87.74 90.00 90.00°
Sites, in units of the cell vectors:
O (0.000, 0.053, 0.307)
O (0.500, 0.336, 0.053)
O (0.500, 0.812, 0.557)
O (0.500, 0.446, 0.693)
O (0.000, 0.224, 0.944)
O (0.500, 0.664, 0.947)
O (0.500, 0.946, 0.191)
O (0.000, 0.688, 0.443)
O (0.500, 0.188, 0.443)
O (0.000, 0.312, 0.557)
O (0.500, 0.554, 0.307)
O (0.000, 0.556, 0.808)
O (0.000, 0.776, 0.056)
O (0.000, 0.444, 0.192)
O (0.500, 0.054, 0.809)
O (0.000, 0.947, 0.693)
Co (0.000, 0.500, 0.000)
Co (0.500, 0.250, 0.250)
Co (0.000, 0.000, 0.500)
Co (0.500, 0.750, 0.750)
Co (0.000, 0.251, 0.751)
Co (0.000, 0.749, 0.249)
Co (0.500, 0.500, 0.500)
Li (0.000, 0.626, 0.625)
Li (0.500, 0.875, 0.375)
Li (0.000, 0.374, 0.375)
Li (0.500, 0.125, 0.625)
Li (0.000, 0.119, 0.122)
Li (0.500, 0.375, 0.878)
Li (0.500, 0.000, 0.000)
Li (0.000, 0.881, 0.878)
Li (0.500, 0.625, 0.122)

DFT (PBE+U) results for a relaxed structure of Li3CrFe3O8.

Final energy (eV/cell): -190.2
ΔE_f (kJ/mol of atoms): -187
Polymorph energy (0 for the lowest one) (eV per atom): 0.000

Cell: 5.198 7.861 7.880 Å, 81.71 70.96 83.96°
Sites, in units of the cell vectors:
O (0.270, 0.160, 0.771)
O (0.723, 0.978, 0.849)
O (0.716, 0.099, 0.485)
O (0.284, 0.901, 0.515)
O (0.713, 0.484, 0.358)
O (0.725, 0.345, 0.712)
O (0.276, 0.414, 0.018)
O (0.293, 0.282, 0.412)
O (0.730, 0.840, 0.229)
O (0.707, 0.718, 0.588)
O (0.285, 0.781, 0.905)
O (0.275, 0.655, 0.288)
O (0.287, 0.516, 0.642)
O (0.277, 0.022, 0.151)
O (0.715, 0.219, 0.095)
O (0.724, 0.586, 0.982)
Fe (0.483, 0.187, 0.943)
Fe (0.496, 0.433, 0.187)
Fe (0.504, 0.567, 0.813)
Fe (0.505, 0.064, 0.308)
Fe (0.495, 0.936, 0.692)
Fe (0.517, 0.813, 0.057)
Li (0.000, 0.500, 0.500)
Li (0.999, 0.618, 0.120)
Li (0.000, 0.883, 0.375)
Li (0.000, 0.117, 0.625)
Li (0.001, 0.382, 0.880)
Li (0.000, 0.000, 0.000)
Cr (0.491, 0.688, 0.438)
Cr (0.509, 0.312, 0.562)

DFT (PBE+U) results for a relaxed structure of NaLi5Fe2P2C2O14.

Final energy (eV/cell): -345.3
ΔE_f (kJ/mol of atoms): -224
Polymorph energy (0 for the lowest one) (eV per atom): 0.004

Cell: 6.504 8.565 10.243 Å, 85.42 89.72 89.37°
Sites, in units of the cell vectors:
O (0.933, 0.675, 0.079)
O (0.752, 0.893, 0.823)
O (0.225, 0.102, 0.695)
O (0.241, 0.433, 0.202)
O (0.243, 0.932, 0.030)
O (0.560, 0.678, 0.583)
O (0.746, 0.882, 0.345)
O (0.227, 0.435, 0.706)
O (0.743, 0.411, 0.092)
O (0.074, 0.305, 0.411)
O (0.448, 0.317, 0.397)
O (0.558, 0.679, 0.086)
O (0.437, 0.314, 0.901)
O (0.240, 0.854, 0.244)
O (0.255, 0.112, 0.180)
O (0.751, 0.090, 0.959)
O (0.065, 0.316, 0.919)
O (0.753, 0.569, 0.290)
O (0.245, 0.935, 0.535)
O (0.763, 0.134, 0.261)
O (0.934, 0.701, 0.590)
O (0.251, 0.581, 0.910)
O (0.256, 0.842, 0.746)
O (0.778, 0.428, 0.583)
O (0.244, 0.577, 0.409)
O (0.747, 0.080, 0.478)
O (0.748, 0.571, 0.790)
O (0.771, 0.146, 0.743)
P (0.747, 0.579, 0.137)
P (0.246, 0.417, 0.858)
P (0.252, 0.413, 0.355)
P (0.755, 0.590, 0.637)
Li (0.974, 0.719, 0.873)
Li (0.028, 0.284, 0.124)
Li (0.022, 0.277, 0.628)
Li (0.779, 0.916, 0.622)
Li (0.472, 0.282, 0.126)
Li (0.530, 0.715, 0.381)
Li (0.239, 0.092, 0.383)
Li (0.234, 0.104, 0.891)
Li (0.974, 0.718, 0.380)
Li (0.514, 0.726, 0.868)
Fe (0.752, 0.338, 0.892)
Fe (0.246, 0.667, 0.104)
Fe (0.761, 0.334, 0.390)
Fe (0.248, 0.666, 0.605)
Na (0.495, 0.259, 0.626)
Na (0.749, 0.913, 0.122)
C (0.242, 0.961, 0.658)
C (0.758, 0.041, 0.843)
C (0.246, 0.967, 0.151)
C (0.752, 0.030, 0.362)

DFT (PBE+U) results for a relaxed structure of Pb3WO6.

Final energy (eV/cell): -252.0
ΔE_f (kJ/mol of atoms): -172

Cell: 8.087 9.715 9.582 Å, 90.00 90.00 87.47°
Sites, in units of the cell vectors:
O (0.049, 0.617, 0.445)
O (0.246, 0.436, 0.645)
O (0.182, 0.862, 0.164)
O (0.951, 0.383, 0.555)
O (0.818, 0.138, 0.836)
O (0.468, 0.660, 0.491)
O (0.049, 0.117, 0.055)
O (0.532, 0.340, 0.509)
O (0.754, 0.064, 0.145)
O (0.182, 0.362, 0.336)
O (0.002, 0.482, 0.851)
O (0.818, 0.638, 0.664)
O (0.839, 0.808, 0.201)
O (0.998, 0.018, 0.351)
O (0.951, 0.883, 0.945)
O (0.161, 0.692, 0.701)
O (0.161, 0.192, 0.799)
O (0.998, 0.518, 0.149)
O (0.754, 0.564, 0.355)
O (0.468, 0.160, 0.009)
O (0.246, 0.936, 0.855)
O (0.532, 0.840, 0.991)
O (0.839, 0.308, 0.299)
O (0.002, 0.982, 0.649)
Pb (0.753, 0.264, 0.033)
Pb (0.497, 0.988, 0.177)
Pb (0.247, 0.236, 0.533)
Pb (0.219, 0.299, 0.008)
Pb (0.497, 0.488, 0.323)
Pb (0.781, 0.201, 0.508)
Pb (0.503, 0.012, 0.823)
Pb (0.219, 0.799, 0.492)
Pb (0.247, 0.736, 0.967)
Pb (0.753, 0.764, 0.467)
Pb (0.503, 0.512, 0.677)
Pb (0.781, 0.701, 0.992)
W (0.973, 0.462, 0.326)
W (0.973, 0.962, 0.174)
W (0.027, 0.538, 0.674)
W (0.027, 0.038, 0.826)

DFT (PBE+U) results for a relaxed structure of SrNdMnCoO6.

Final energy (eV/cell): -69.3
ΔE_f (kJ/mol of atoms): -234

Cell: 5.480 5.480 5.480 Å, 60.00 60.00 60.00°
Sites, in units of the cell vectors:
Co (0.250, 0.250, 0.250)
O (0.994, 0.994, 0.506)
O (0.994, 0.506, 0.506)
O (0.506, 0.994, 0.994)
O (0.506, 0.506, 0.994)
O (0.994, 0.506, 0.994)
O (0.506, 0.994, 0.506)
Sr (0.500, 0.500, 0.500)
Mn (0.750, 0.750, 0.750)
Nd (0.000, 0.000, 0.000)

DFT (PBE+U) results for a relaxed structure of Zn2AgWO6.

Final energy (eV/cell): -110.6
ΔE_f (kJ/mol of atoms): -153
Polymorph energy (0 for the lowest one) (eV per atom): 0.025

Cell: 5.227 5.295 9.921 Å, 60.76 90.00 90.00°
Sites, in units of the cell vectors:
O (0.125, 0.172, 0.698)
O (0.310, 0.468, 0.402)
O (0.155, 0.763, 0.560)
O (0.655, 0.237, 0.940)
O (0.345, 0.763, 0.060)
O (0.810, 0.532, 0.098)
O (0.625, 0.828, 0.802)
O (0.190, 0.468, 0.902)
O (0.690, 0.532, 0.598)
O (0.375, 0.172, 0.198)
O (0.845, 0.237, 0.440)
O (0.875, 0.828, 0.302)
Ag (0.500, 0.000, 0.500)
Ag (0.000, 0.000, 0.000)
Zn (0.017, 0.217, 0.259)
Zn (0.483, 0.217, 0.759)
Zn (0.517, 0.783, 0.241)
Zn (0.983, 0.783, 0.741)
W (0.000, 0.500, 0.500)
W (0.500, 0.500, 0.000)

DFT (PBE+U) results for a relaxed structure of ZnNi2O4.

Final energy (eV/cell): -194.0
ΔE_f (kJ/mol of atoms): -104
Polymorph energy (0 for the lowest one) (eV per atom): 0.152

Cell: 5.885 5.882 17.577 Å, 59.91 60.52 60.00°
Sites, in units of the cell vectors:
Zn (0.140, 0.118, 0.041)
Zn (0.500, 0.502, 0.332)
Zn (0.499, 0.498, 0.668)
Zn (0.000, 0.500, 0.167)
Zn (0.999, 0.500, 0.834)
Zn (0.000, 0.500, 0.500)
Ni (0.499, 0.500, 0.001)
Ni (0.870, 0.880, 0.290)
Ni (0.129, 0.119, 0.377)
Ni (0.503, 0.004, 0.165)
Ni (0.870, 0.880, 0.624)
Ni (0.498, 0.996, 0.835)
Ni (0.503, 0.498, 0.165)
Ni (0.500, 0.500, 0.500)
Ni (0.498, 0.502, 0.835)
Ni (0.862, 0.881, 0.958)
Ni (0.131, 0.120, 0.709)
Ni (0.500, 0.000, 0.500)
O (0.718, 0.751, 0.094)
O (0.271, 0.245, 0.580)
O (0.281, 0.254, 0.904)
O (0.730, 0.254, 0.087)
O (0.732, 0.754, 0.577)
O (0.732, 0.283, 0.577)
O (0.264, 0.758, 0.240)
O (0.724, 0.248, 0.427)
O (0.731, 0.280, 0.243)
O (0.282, 0.706, 0.085)
O (0.270, 0.742, 0.916)
O (0.268, 0.716, 0.423)
O (0.282, 0.247, 0.241)
O (0.716, 0.289, 0.917)
O (0.718, 0.750, 0.761)
O (0.747, 0.242, 0.757)
O (0.282, 0.257, 0.085)
O (0.268, 0.241, 0.755)
O (0.268, 0.725, 0.755)
O (0.268, 0.247, 0.423)
O (0.715, 0.745, 0.917)
O (0.727, 0.755, 0.421)
O (0.731, 0.760, 0.243)
O (0.276, 0.752, 0.573)

DFT (PBE+U) results for a relaxed structure of Li6Ni5P8O28.

Final energy (eV/cell): -607.1
ΔE_f (kJ/mol of atoms): -233

Cell: 9.040 10.517 12.696 Å, 87.26 106.16 114.74°
Sites, in units of the cell vectors:
O (0.538, 0.967, 0.372)
O (0.279, 0.806, 0.523)
O (0.455, 0.189, 0.269)
O (0.706, 0.965, 0.568)
O (0.545, 0.811, 0.731)
O (0.471, 0.712, 0.401)
O (0.448, 0.706, 0.899)
O (0.922, 0.684, 0.469)
O (0.278, 0.806, 0.021)
O (0.103, 0.143, 0.730)
O (0.924, 0.858, 0.766)
O (0.271, 0.786, 0.259)
O (0.142, 0.950, 0.581)
O (0.313, 0.304, 0.399)
O (0.858, 0.050, 0.419)
O (0.730, 0.194, 0.239)
O (0.548, 0.966, 0.876)
O (0.065, 0.360, 0.304)
O (0.867, 0.052, 0.932)
O (0.061, 0.345, 0.799)
O (0.089, 0.520, 0.132)
O (0.702, 0.965, 0.074)
O (0.903, 0.477, 0.365)
O (0.911, 0.480, 0.868)
O (0.687, 0.696, 0.601)
O (0.270, 0.806, 0.761)
O (0.294, 0.035, 0.432)
O (0.922, 0.684, 0.971)
O (0.560, 0.826, 0.231)
O (0.078, 0.316, 0.531)
O (0.935, 0.640, 0.696)
O (0.462, 0.033, 0.628)
O (0.336, 0.550, 0.057)
O (0.452, 0.034, 0.124)
O (0.076, 0.142, 0.234)
O (0.939, 0.655, 0.201)
O (0.321, 0.308, 0.901)
O (0.293, 0.401, 0.713)
O (0.715, 0.605, 0.788)
O (0.529, 0.288, 0.599)
O (0.897, 0.857, 0.270)
O (0.298, 0.035, 0.926)
O (0.078, 0.316, 0.029)
O (0.729, 0.214, 0.741)
O (0.097, 0.523, 0.635)
O (0.664, 0.450, 0.943)
O (0.337, 0.550, 0.554)
O (0.285, 0.395, 0.212)
O (0.552, 0.294, 0.101)
O (0.663, 0.450, 0.446)
O (0.721, 0.194, 0.477)
O (0.722, 0.194, 0.979)
O (0.133, 0.948, 0.068)
O (0.440, 0.174, 0.769)
O (0.707, 0.599, 0.287)
O (0.679, 0.692, 0.099)
P (0.801, 0.547, 0.397)
P (0.544, 0.189, 0.688)
P (0.282, 0.953, 0.029)
P (0.180, 0.293, 0.291)
P (0.820, 0.707, 0.709)
P (0.712, 0.045, 0.466)
P (0.718, 0.047, 0.971)
P (0.199, 0.453, 0.603)
P (0.450, 0.811, 0.812)
P (0.456, 0.811, 0.312)
P (0.288, 0.955, 0.534)
P (0.194, 0.451, 0.102)
P (0.191, 0.292, 0.791)
P (0.809, 0.708, 0.209)
P (0.550, 0.189, 0.188)
P (0.806, 0.549, 0.898)
Li (0.500, 0.500, 0.000)
Li (0.878, 0.846, 0.456)
Li (0.865, 0.404, 0.664)
Li (0.892, 0.854, 0.954)
Li (0.500, 0.500, 0.500)
Li (0.863, 0.402, 0.162)
Li (0.184, 0.996, 0.271)
Li (0.108, 0.146, 0.046)
Li (0.137, 0.598, 0.838)
Li (0.816, 0.004, 0.729)
Li (0.122, 0.154, 0.544)
Li (0.135, 0.596, 0.336)
Ni (0.498, 0.760, 0.567)
Ni (0.507, 0.242, 0.934)
Ni (0.493, 0.758, 0.066)
Ni (0.190, 0.991, 0.761)
Ni (0.102, 0.715, 0.111)
Ni (0.898, 0.285, 0.889)
Ni (0.898, 0.287, 0.389)
Ni (0.810, 0.009, 0.239)
Ni (0.102, 0.713, 0.611)
Ni (0.502, 0.240, 0.433)